(1)
CaSbAs2SeO7 | PBE-GGA | relaxed

a = 17.0539 Å, b = 17.0539 Å, c = 11.0423 Å
α = 90.00°, β = 90.00°, γ = 90.00°
Space group I4_1/a (No. 88, origin choice 2)
Symmetry-distinct sites (fractional):
Ca (0.1483, 0.0620, 0.4692) (multiplicity 16)
Sb (0.1734, 0.0607, 0.9722) (multiplicity 16)
As (0.0470, 0.3843, 0.9869) (multiplicity 16)
As (0.0667, 0.3506, 0.5478) (multiplicity 16)
Se (0.0140, 0.4994, 0.2412) (multiplicity 16)
O (0.0420, 0.1543, 0.5658) (multiplicity 16)
O (0.0665, 0.4690, 0.8901) (multiplicity 16)
O (0.0749, 0.4397, 0.1386) (multiplicity 16)
O (0.0911, 0.4400, 0.6164) (multiplicity 16)
O (0.0945, 0.1114, 0.2854) (multiplicity 16)
O (0.1035, 0.4960, 0.3447) (multiplicity 16)
O (0.2372, 0.4962, 0.1551) (multiplicity 16)

- E_tot (eV per formula unit) = -70.03
- energy of formation (eV per atom) = -1.77
- magnetization (μB per formula unit) = 1.00


(2)
K3RhCl6 | PBE-GGA | relaxed

a = 12.7353 Å, b = 7.5682 Å, c = 12.1416 Å
α = 90.00°, β = 108.32°, γ = 90.00°
Space group P2_1/c (No. 14)
Symmetry-distinct sites (fractional):
K (0.0989, 0.0325, 0.3595) (multiplicity 4)
K (0.3178, 0.5700, 0.2659) (multiplicity 4)
K (0.3191, 0.0646, 0.1127) (multiplicity 4)
Rh (0.0000, 0.0000, 0.0000) (multiplicity 2)
Rh (0.5000, 0.0000, 0.5000) (multiplicity 2)
Cl (0.0937, 0.2444, 0.5995) (multiplicity 4)
Cl (0.1155, 0.0012, 0.8798) (multiplicity 4)
Cl (0.1230, 0.6879, 0.6376) (multiplicity 4)
Cl (0.3532, 0.6916, 0.0047) (multiplicity 4)
Cl (0.3610, 0.2049, 0.3983) (multiplicity 4)
Cl (0.4995, 0.1290, 0.6784) (multiplicity 4)

- E_tot (eV per formula unit) = -36.16
- energy of formation (eV per atom) = -1.81